Compound: Li3Mo6S8
Source: the Materials Project
Functional: PBE
Structure: relaxed

a b c (Å): 6.6678 6.6763 13.3468
angles (deg): 94.03 93.79 95.68
Space group P1 (No. 1)
One atom of each set of equivalent atoms:
Li  0.0000  0.0000  0.0000 [1 per cell]
Li  0.0039  0.1278  0.7547 [1 per cell]
Li  0.0418  0.3822  0.2807 [1 per cell]
Li  0.1667  0.9053  0.2839 [1 per cell]
Li  0.4364  0.9499  0.8059 [1 per cell]
Li  0.9872  0.0057  0.4990 [1 per cell]
Mo  0.2574  0.4011  0.5700 [1 per cell]
Mo  0.2611  0.3926  0.0700 [1 per cell]
Mo  0.4383  0.5371  0.4110 [1 per cell]
Mo  0.4408  0.5309  0.9103 [1 per cell]
Mo  0.4798  0.7608  0.5896 [1 per cell]
Mo  0.4883  0.7517  0.0908 [1 per cell]
Mo  0.5686  0.2198  0.5005 [1 per cell]
Mo  0.5734  0.2164  0.0014 [1 per cell]
Mo  0.6142  0.4455  0.6808 [1 per cell]
Mo  0.6173  0.4374  0.1803 [1 per cell]
Mo  0.7905  0.5834  0.5217 [1 per cell]
Mo  0.7997  0.5733  0.0211 [1 per cell]
S  0.1608  0.7032  0.4825 [1 per cell]
S  0.1683  0.6944  0.9853 [1 per cell]
S  0.2371  0.2024  0.4040 [1 per cell]
S  0.2428  0.1974  0.9032 [1 per cell]
S  0.3128  0.6055  0.7312 [1 per cell]
S  0.3174  0.6037  0.2303 [1 per cell]
S  0.3975  0.1212  0.6537 [1 per cell]
S  0.4014  0.1141  0.1555 [1 per cell]
S  0.6454  0.8614  0.4359 [1 per cell]
S  0.6565  0.8563  0.9392 [1 per cell]
S  0.7349  0.3679  0.3624 [1 per cell]
S  0.7442  0.3660  0.8603 [1 per cell]
S  0.8078  0.7822  0.6864 [1 per cell]
S  0.8219  0.7661  0.1863 [1 per cell]
S  0.8896  0.2810  0.6054 [1 per cell]
S  0.8946  0.2734  0.1072 [1 per cell]

Formation energy from the elements = -1819 kJ/mol of formula units
Final energy = -237.45 eV/cell

Compound: LiMo6Se2S6
Source: the Materials Project
Functional: PBE
Structure: relaxed

a b c (Å): 9.3575 9.3575 11.1742
angles (deg): 90.00 90.00 120.00
Space group R-3 (No. 148, hexagonal axes)
One atom of each set of equivalent atoms:
Li  0.0000  0.0000  0.0000 [3 per cell]
Mo  0.0161  0.1775  0.3947 [18 per cell]
Se  0.0000  0.0000  0.2172 [6 per cell]
S  0.0177  0.3828  0.2511 [18 per cell]

Total magnetization = 0.000 μB/atom
Formation energy from the elements = -1311 kJ/mol of formula units
Final energy = -328.09 eV/cell

Compound: Li7Mo12Se16
Source: the Materials Project
Functional: PBE
Structure: relaxed

a b c (Å): 7.0167 7.0224 14.0488
angles (deg): 95.24 94.67 95.18
Space group P1 (No. 1)
One atom of each set of equivalent atoms:
Li  0.0000  0.0000  0.0000 [1 per cell]
Li  0.0012  0.4031  0.2199 [1 per cell]
Li  0.0370  0.9617  0.4207 [1 per cell]
Li  0.0457  0.5663  0.6998 [1 per cell]
Li  0.4317  0.0011  0.6991 [1 per cell]
Li  0.4468  0.9954  0.2002 [1 per cell]
Li  0.9000  0.0789  0.7275 [1 per cell]
Mo  0.2633  0.5237  0.9174 [1 per cell]
Mo  0.2655  0.5237  0.4181 [1 per cell]
Mo  0.4352  0.2249  0.4817 [1 per cell]
Mo  0.4350  0.2248  0.9801 [1 per cell]
Mo  0.4765  0.5677  0.5883 [1 per cell]
Mo  0.4794  0.5660  0.0880 [1 per cell]
Mo  0.5644  0.3965  0.8314 [1 per cell]
Mo  0.5648  0.3969  0.3322 [1 per cell]
Mo  0.6063  0.7399  0.4387 [1 per cell]
Mo  0.6076  0.7355  0.9395 [1 per cell]
Mo  0.7754  0.4398  0.5019 [1 per cell]
Mo  0.7790  0.4381  0.0016 [1 per cell]
Se  0.1444  0.3482  0.5635 [1 per cell]
Se  0.1472  0.3558  0.0637 [1 per cell]
Se  0.2301  0.1916  0.8162 [1 per cell]
Se  0.2311  0.1893  0.3147 [1 per cell]
Se  0.3117  0.8568  0.5241 [1 per cell]
Se  0.3129  0.8531  0.0236 [1 per cell]
Se  0.3952  0.6872  0.2749 [1 per cell]
Se  0.3965  0.6889  0.7742 [1 per cell]
Se  0.6478  0.2756  0.6467 [1 per cell]
Se  0.6492  0.2729  0.1456 [1 per cell]
Se  0.7250  0.1097  0.3949 [1 per cell]
Se  0.7299  0.1053  0.8933 [1 per cell]
Se  0.8066  0.7757  0.6042 [1 per cell]
Se  0.8109  0.7653  0.1055 [1 per cell]
Se  0.8952  0.6093  0.8565 [1 per cell]
Se  0.8962  0.6112  0.3562 [1 per cell]

Formation energy from the elements = -3222 kJ/mol of formula units
Final energy = -225.29 eV/cell

Compound: Li3N
Source: the Materials Project
Functional: PBE
Structure: relaxed

a b c (Å): 3.5645 3.5645 6.3490
angles (deg): 90.00 90.00 120.00
Space group P6_3/mmc (No. 194)
One atom of each set of equivalent atoms:
Li  0.0000  0.0000  0.2500 [2 per cell]
Li  0.3333  0.6667  0.0767 [4 per cell]
N  0.3333  0.6667  0.7500 [2 per cell]

Formation energy from the elements = -172 kJ/mol of formula units
Final energy = -30.97 eV/cell
Polymorph energy (0 for the lowest one) = 1.10 kJ/mol of atoms

Compound: Li3N
Source: the Materials Project
Functional: PBE
Structure: relaxed

a b c (Å): 3.6507 3.6507 3.8886
angles (deg): 90.00 90.00 120.00
Space group P6/mmm (No. 191)
One atom of each set of equivalent atoms:
Li  0.0000  0.0000  0.0000 [1 per cell]
Li  0.3333  0.6667  0.5000 [2 per cell]
N  0.0000  0.0000  0.5000 [1 per cell]

Formation energy from the elements = -176 kJ/mol of formula units
Final energy = -15.53 eV/cell
Polymorph energy (0 for the lowest one) = 0.00 kJ/mol of atoms

Compound: NaLi2N
Source: the Materials Project
Functional: PBE
Structure: relaxed

a b c (Å): 3.6583 3.6583 4.7614
angles (deg): 90.00 90.00 120.00
Space group P6/mmm (No. 191)
One atom of each set of equivalent atoms:
Na  0.0000  0.0000  0.0000 [1 per cell]
Li  0.3333  0.6667  0.5000 [2 per cell]
N  0.0000  0.0000  0.5000 [1 per cell]

Total magnetization = 0.000 μB/atom
Formation energy from the elements = -97 kJ/mol of formula units
Final energy = -14.12 eV/cell

Compound: NaLi5N2
Source: the Materials Project
Functional: PBE
Structure: relaxed

a b c (Å): 3.8314 3.7439 6.5583
angles (deg): 90.00 93.16 90.00
Space group Pm (No. 6)
One atom of each set of equivalent atoms:
Na  0.0000  0.0000  0.0000 [1 per cell]
Li  0.3230  0.0000  0.3399 [1 per cell]
Li  0.3289  0.5000  0.5432 [1 per cell]
Li  0.3995  0.5000  0.8883 [1 per cell]
Li  0.7770  0.5000  0.2538 [1 per cell]
Li  0.8545  0.0000  0.6330 [1 per cell]
N  0.2724  0.5000  0.2136 [1 per cell]
N  0.3645  0.0000  0.6863 [1 per cell]

Total magnetization = 0.000 μB/atom
Formation energy from the elements = -245 kJ/mol of formula units
Final energy = -29.36 eV/cell
Polymorph energy (0 for the lowest one) = 0.78 kJ/mol of atoms

Compound: NaLi5N2
Source: the Materials Project
Functional: PBE
Structure: relaxed

a b c (Å): 3.8631 3.6477 7.3447
angles (deg): 90.00 99.21 90.00
Space group Pm (No. 6)
One atom of each set of equivalent atoms:
Na  0.0000  0.0000  0.0000 [1 per cell]
Li  0.1686  0.0000  0.3378 [1 per cell]
Li  0.1785  0.5000  0.5128 [1 per cell]
Li  0.3239  0.5000  0.8039 [1 per cell]
Li  0.6158  0.5000  0.2254 [1 per cell]
Li  0.7314  0.0000  0.6318 [1 per cell]
N  0.1184  0.5000  0.2329 [1 per cell]
N  0.2454  0.0000  0.6729 [1 per cell]

Total magnetization = 0.000 μB/atom
Formation energy from the elements = -251 kJ/mol of formula units
Final energy = -29.42 eV/cell
Largest piezoelectric modulus = 0.77 C/m2
Polymorph energy (0 for the lowest one) = 0.00 kJ/mol of atoms

Compound: NaLi5N2
Source: the Materials Project
Functional: PBE
Structure: relaxed

a b c (Å): 3.7038 3.7038 5.2318
angles (deg): 90.00 90.00 90.00
Space group P4/mmm (No. 123)
One atom of each set of equivalent atoms:
Na  0.0000  0.0000  0.0000 [1 per cell]
Li  0.0000  0.5000  0.2566 [4 per cell]
Li  0.5000  0.5000  0.5000 [1 per cell]
N  0.0000  0.0000  0.5000 [1 per cell]
N  0.5000  0.5000  0.0000 [1 per cell]

Total magnetization = 0.000 μB/atom
Formation energy from the elements = -118 kJ/mol of formula units
Final energy = -28.04 eV/cell
Polymorph energy (0 for the lowest one) = 16.65 kJ/mol of atoms

Compound: Li16Nb2N8O
Source: the Materials Project
Functional: PBE
Structure: relaxed

a b c (Å): 6.0065 6.0065 25.5586
angles (deg): 90.00 90.00 120.00
Space group R-3 (No. 148, hexagonal axes)
One atom of each set of equivalent atoms:
Li  0.0000  0.0000  0.0777 [6 per cell]
Li  0.0000  0.0000  0.4172 [6 per cell]
Li  0.0072  0.6419  0.3096 [18 per cell]
Li  0.0232  0.6357  0.8084 [18 per cell]
Nb  0.0000  0.0000  0.2494 [6 per cell]
N  0.0000  0.0000  0.3267 [6 per cell]
N  0.0013  0.6885  0.2245 [18 per cell]
O  0.0000  0.0000  0.0000 [3 per cell]

Total magnetization = 0.000 μB/atom
Formation energy from the elements = -2353 kJ/mol of formula units
Final energy = -438.24 eV/cell

Compound: Sr2Li3NbN4
Source: the Materials Project
Functional: PBE
Structure: relaxed

a b c (Å): 8.7482 9.0344 7.0563
angles (deg): 90.00 90.00 90.00
Space group Pnnm (No. 58)
One atom of each set of equivalent atoms:
Sr  0.0000  0.0000  0.2405 [4 per cell]
Sr  0.2433  0.2457  0.5000 [4 per cell]
Li  0.0178  0.6346  0.2625 [8 per cell]
Li  0.2053  0.5782  0.5000 [4 per cell]
Nb  0.2145  0.3623  0.0000 [4 per cell]
N  0.0467  0.2156  0.0000 [4 per cell]
N  0.0721  0.7789  0.5000 [4 per cell]
N  0.1980  0.4811  0.2348 [8 per cell]

Total magnetization = 0.000 μB/atom
Formation energy from the elements = -963 kJ/mol of formula units
Final energy = -244.38 eV/cell

Compound: LiNdP4N8
Source: the Materials Project
Functional: PBE
Structure: relaxed

a b c (Å): 8.7857 7.9319 9.1653
angles (deg): 90.00 90.00 90.00
Space group Pnma (No. 62)
One atom of each set of equivalent atoms:
Li  0.0546  0.2500  0.0667 [4 per cell]
Nd  0.0876  0.7500  0.5854 [4 per cell]
P  0.0694  0.5632  0.1914 [8 per cell]
P  0.2292  0.5594  0.9178 [8 per cell]
N  0.0210  0.7500  0.1396 [4 per cell]
N  0.0771  0.5662  0.8155 [8 per cell]
N  0.1294  0.5581  0.3603 [8 per cell]
N  0.1965  0.0242  0.0789 [8 per cell]
N  0.1976  0.2500  0.4182 [4 per cell]

Total magnetization = 0.000 μB/atom
Formation energy from the elements = -1397 kJ/mol of formula units
Final energy = -426.46 eV/cell